The following is a DFT calculation (meta-GGA r2SCAN) of a geometry-optimized Tl2Cr3O12 structure.

a = 8.7858 Å, b = 8.7165 Å, c = 12.9263 Å
α = 90.00°, β = 90.00°, γ = 90.00°
With the nearest neighbours (Å) after each atom.
Positions (direct):
Tl1 0.6031 0.7479 0.4067  6 O 2.19-2.32
Tl2 0.1031 0.7521 0.0933  6 O 2.19-2.32
Tl3 0.8969 0.7479 0.5933  6 O 2.19-2.32
Tl4 0.3969 0.7521 0.9067  6 O 2.19-2.32
Tl5 0.3969 0.2521 0.5933  6 O 2.19-2.32
Tl6 0.8969 0.2479 0.9067  6 O 2.19-2.32
Tl7 0.1031 0.2521 0.4067  6 O 2.19-2.32
Tl8 0.6031 0.2479 0.0933  6 O 2.19-2.32
Cr1 0.7500 0.1092 0.5000  4 O 1.64-1.65
Cr2 0.2500 0.3908 0.0000  4 O 1.64-1.65
Cr3 0.2500 0.8908 0.5000  4 O 1.64-1.65
Cr4 0.7500 0.6092 0.0000  4 O 1.64-1.65
Cr5 0.9703 0.1169 0.1677  4 O 1.58-1.73
Cr6 0.4703 0.3831 0.3323  4 O 1.58-1.73
Cr7 0.5297 0.1169 0.8323  4 O 1.58-1.73
Cr8 0.0297 0.3831 0.6677  4 O 1.58-1.73
Cr9 0.0297 0.8831 0.8323  4 O 1.58-1.73
Cr10 0.5297 0.6169 0.6677  4 O 1.58-1.73
Cr11 0.4703 0.8831 0.1677  4 O 1.58-1.73
Cr12 0.9703 0.6169 0.3323  4 O 1.58-1.73
O1 0.6412 0.5013 0.0731  1 Cr 1.64
O2 0.1412 0.9987 0.4269  1 Cr 1.64
O3 0.8588 0.5013 0.9269  1 Cr 1.64
O4 0.3588 0.9987 0.5731  1 Cr 1.64
O5 0.3588 0.4987 0.9269  1 Cr 1.64
O6 0.8588 0.0013 0.5731  1 Cr 1.64
O7 0.1412 0.4987 0.0731  1 Cr 1.64
O8 0.6412 0.0013 0.4269  1 Cr 1.64
O9 0.4160 0.0058 0.9011  1 Cr 1.65
O10 0.9160 0.4942 0.5989  1 Cr 1.65
O11 0.0840 0.0058 0.0989  1 Cr 1.65
O12 0.5840 0.4942 0.4011  1 Cr 1.65
O13 0.5840 0.9942 0.0989  1 Cr 1.65
O14 0.0840 0.5058 0.4011  1 Cr 1.65
O15 0.9160 0.9942 0.9011  1 Cr 1.65
O16 0.4160 0.5058 0.5989  1 Cr 1.65
O17 0.6432 0.7213 0.9267  1 Cr 1.65
O18 0.3568 0.2787 0.0733  1 Cr 1.65
O19 0.1432 0.2787 0.9267  1 Cr 1.65
O20 0.6432 0.2213 0.5733  1 Cr 1.65
O21 0.6418 0.7223 0.5834  1 Cr 1.73
O22 0.1418 0.7777 0.9166  1 Cr 1.73
O23 0.8582 0.7223 0.4166  1 Cr 1.73
O24 0.3582 0.7777 0.0834  1 Cr 1.73
O25 0.3582 0.2777 0.4166  1 Cr 1.73
O26 0.8582 0.2223 0.0834  1 Cr 1.73
O27 0.1418 0.2777 0.5834  1 Cr 1.73
O28 0.6418 0.2223 0.9166  1 Cr 1.73
O29 0.6352 0.0166 0.7604  1 Cr 1.58
O30 0.1352 0.4834 0.7396  1 Cr 1.58
O31 0.8648 0.0166 0.2396  1 Cr 1.58
O32 0.3648 0.4834 0.2604  1 Cr 1.58
O33 0.3648 0.9834 0.2396  1 Cr 1.58
O34 0.8648 0.5166 0.2604  1 Cr 1.58
O35 0.1352 0.9834 0.7604  1 Cr 1.58
O36 0.6352 0.5166 0.7396  1 Cr 1.58
O37 0.4227 0.7338 0.7383  1 Cr 1.66
O38 0.9227 0.7662 0.7617  1 Cr 1.66
O39 0.0773 0.7338 0.2617  1 Cr 1.66
O40 0.5773 0.7662 0.2383  1 Cr 1.66
O41 0.5773 0.2662 0.2617  1 Cr 1.66
O42 0.0773 0.2338 0.2383  1 Cr 1.66
O43 0.9227 0.2662 0.7383  1 Cr 1.66
O44 0.4227 0.2338 0.7617  1 Cr 1.66
O45 0.3568 0.7787 0.4267  1 Cr 1.65
O46 0.8568 0.7213 0.0733  1 Cr 1.65
O47 0.1432 0.7787 0.5733  1 Cr 1.65
O48 0.8568 0.2213 0.4267  1 Cr 1.65

Calculated values
The energy of formation comes out at -138.3 kJ/mol of atoms.